Entry 1:
! Nb2GaNi3 | Materials Project | PBE | optimized geometry; values from VASP
&SYSTEM
  ibrav = 0, nat = 12, ntyp = 3
/
ATOMIC_SPECIES
Nb 92.91 Nb.upf
Ga 69.72 Ga.upf
Ni 58.69 Ni.upf
CELL_PARAMETERS angstrom
4.9216 0.0000 0.0000
-2.4608 4.2622 0.0000
0.0000 0.0000 7.7777
ATOMIC_POSITIONS crystal
Nb 0.3333 0.6667 0.0597
Nb 0.3333 0.6667 0.4403
Nb 0.6667 0.3333 0.5597
Nb 0.6667 0.3333 0.9403
Ga 0.0000 0.0000 0.0000
Ga 0.0000 0.0000 0.5000
Ni 0.1719 0.3438 0.7500
Ni 0.1719 0.8281 0.7500
Ni 0.3438 0.1719 0.2500
Ni 0.6562 0.8281 0.7500
Ni 0.8281 0.1719 0.2500
Ni 0.8281 0.6562 0.2500
! DFT formation energy = -0.30 eV/atom
! ρ = 8.786 g/cm³
! calculated volume = 13.60 Å³/atom
! space-group type = No. 194

---

Entry 2:
! NbGaP2SO12 | Materials Project | PBE | optimized geometry; values from VASP
&SYSTEM
  ibrav = 0, nat = 102, ntyp = 5
/
ATOMIC_SPECIES
P 30.97 P.upf
S 32.06 S.upf
O 16.00 O.upf
Nb 92.91 Nb.upf
Ga 69.72 Ga.upf
CELL_PARAMETERS angstrom
8.6267 0.0000 0.0000
-4.3134 7.5153 0.0116
0.0000 0.0329 22.3210
ATOMIC_POSITIONS crystal
P 0.2894 0.2780 0.7510
P 0.9886 0.2780 0.2510
P 0.9602 0.3507 0.5846
P 0.6227 0.9447 0.4176
P 0.6553 0.6113 0.5843
P 0.3906 0.3507 0.0846
P 0.2935 0.0174 0.2513
P 0.9560 0.6113 0.0843
P 0.7239 0.0174 0.7513
P 0.0573 0.6841 0.4180
P 0.6268 0.6841 0.9180
P 0.3220 0.9447 0.9176
S 0.0498 0.3755 0.9172
S 0.6591 0.0422 0.0838
S 0.7164 0.7088 0.2505
S 0.3257 0.3755 0.4172
S 0.9924 0.7088 0.7505
S 0.3831 0.0422 0.5838
O 0.6403 0.5087 0.9249
O 0.8680 0.3584 0.9249
O 0.0312 0.8231 0.6966
O 0.4774 0.1708 0.2393
O 0.4586 0.1564 0.5300
O 0.2018 0.1754 0.0916
O 0.3601 0.5042 0.0726
O 0.1727 0.1981 0.4091
O 0.5060 0.8648 0.0758
O 0.8237 0.0251 0.0916
O 0.4689 0.3049 0.0281
O 0.1662 0.7037 0.4732
O 0.3645 0.4898 0.3633
O 0.1440 0.5042 0.5726
O 0.9681 0.7976 0.0934
O 0.8709 0.3704 0.6398
O 0.5347 0.6917 0.2582
O 0.3587 0.8648 0.5758
O 0.8080 0.9752 0.4067
O 0.8337 0.5267 0.0283
O 0.1571 0.6917 0.7582
O 0.8713 0.5005 0.1399
O 0.2013 0.0251 0.5916
O 0.8294 0.7976 0.5934
O 0.6292 0.5005 0.6399
O 0.1693 0.9715 0.1947
O 0.0268 0.8375 0.4060
O 0.0254 0.1981 0.9091
O 0.8328 0.0370 0.8065
O 0.4961 0.1309 0.9268
O 0.2959 0.8339 0.9732
O 0.6930 0.5267 0.5283
O 0.6348 0.1309 0.4268
O 0.6978 0.1564 0.0300
O 0.8394 0.5314 0.7424
O 0.8338 0.3085 0.2400
O 0.6921 0.5314 0.2424
O 0.6935 0.1708 0.7393
O 0.8229 0.7872 0.3043
O 0.5351 0.8420 0.7583
O 0.1671 0.9752 0.9067
O 0.7919 0.8231 0.1966
O 0.8022 0.9715 0.6947
O 0.2976 0.4538 0.4709
O 0.5380 0.8339 0.4732
O 0.8107 0.8375 0.9060
O 0.4896 0.1205 0.6376
O 0.8684 0.5087 0.4249
O 0.4904 0.3584 0.4249
O 0.8360 0.3049 0.5281
O 0.1670 0.1934 0.6949
O 0.9736 0.1754 0.5916
O 0.4995 0.3704 0.1398
O 0.3069 0.8420 0.2583
O 0.5026 0.6382 0.8614
O 0.4747 0.3085 0.7400
O 0.3015 0.4642 0.7601
O 0.1562 0.4538 0.9709
O 0.2042 0.0370 0.3065
O 0.3597 0.8601 0.8616
O 0.5004 0.8601 0.3616
O 0.1414 0.6418 0.0733
O 0.1627 0.4642 0.2601
O 0.1356 0.6382 0.3614
O 0.9625 0.1672 0.3065
O 0.5005 0.6418 0.5733
O 0.5375 0.7037 0.9732
O 0.9643 0.7872 0.8043
O 0.0263 0.1934 0.1949
O 0.6309 0.1205 0.1376
O 0.1253 0.4898 0.8633
O 0.2047 0.1672 0.8065
Nb 0.9930 0.0047 0.6408
Nb 0.3264 0.6713 0.3075
Nb 0.6597 0.3380 0.9742
Nb 0.3450 0.6713 0.8075
Nb 0.6783 0.3380 0.4742
Nb 0.0116 0.0047 0.1408
Ga 0.3321 0.6696 0.0211
Ga 0.0042 0.0029 0.8545
Ga 0.6708 0.3362 0.1878
Ga 0.9987 0.0029 0.3545
Ga 0.6654 0.3362 0.6878
Ga 0.3375 0.6696 0.5211
! DFT formation energy = -2.51 eV/atom
! ρ = 3.089 g/cm³
! calculated volume = 14.19 Å³/atom

---

Entry 3:
! NbGa3SiS5O24 | Materials Project | PBE | optimized geometry; values from VASP
&SYSTEM
  ibrav = 0, nat = 102, ntyp = 5
/
ATOMIC_SPECIES
Nb 92.91 Nb.upf
Ga 69.72 Ga.upf
Si 28.09 Si.upf
S 32.06 S.upf
O 16.00 O.upf
CELL_PARAMETERS angstrom
8.5812 0.0000 0.0000
4.2774 7.4550 0.0000
0.0266 0.0002 22.2441
ATOMIC_POSITIONS crystal
Nb 0.0000 0.0000 0.0000
Nb 0.0140 0.9834 0.5057
Nb 0.6736 0.6665 0.6678
Ga 0.0086 0.9924 0.2137
Ga 0.0195 0.9853 0.7122
Ga 0.3338 0.3267 0.5508
Ga 0.3407 0.3259 0.3390
Ga 0.3467 0.3310 0.0438
Ga 0.3506 0.3242 0.8370
Ga 0.6725 0.6603 0.1739
Ga 0.6731 0.6499 0.8787
Ga 0.6745 0.6612 0.3787
Si 0.0209 0.6996 0.6124
Si 0.2889 0.0058 0.6124
Si 0.6095 0.3462 0.9404
S 0.0091 0.2867 0.1109
S 0.0487 0.3340 0.4406
S 0.0503 0.6084 0.9420
S 0.2991 0.7016 0.1114
S 0.3489 0.0387 0.9419
S 0.3487 0.6078 0.4410
S 0.3796 0.6614 0.7777
S 0.3836 0.9509 0.2761
S 0.6232 0.0391 0.4411
S 0.6739 0.3698 0.2760
S 0.6751 0.9517 0.7785
S 0.7141 0.9930 0.1118
S 0.7163 0.2781 0.6104
S 0.9643 0.6600 0.2759
S 0.9693 0.3648 0.7777
O 0.0268 0.1736 0.4480
O 0.0363 0.7955 0.6705
O 0.0368 0.7909 0.9523
O 0.0420 0.1707 0.1642
O 0.1248 0.5032 0.9977
O 0.1272 0.3651 0.4941
O 0.1434 0.4994 0.2845
O 0.1470 0.3514 0.7856
O 0.1633 0.2953 0.3861
O 0.1641 0.5374 0.8887
O 0.1684 0.0387 0.6698
O 0.1695 0.3030 0.1001
O 0.1833 0.7856 0.1652
O 0.1839 0.0169 0.9523
O 0.1841 0.7907 0.4472
O 0.1867 0.5138 0.5972
O 0.2032 0.8224 0.7714
O 0.2034 0.9604 0.5513
O 0.2041 0.9684 0.2676
O 0.2171 0.8165 0.0574
O 0.2997 0.1540 0.8887
O 0.3091 0.5339 0.3865
O 0.3119 0.5255 0.1039
O 0.3292 0.1596 0.5976
O 0.3632 0.4993 0.7834
O 0.3656 0.1300 0.2844
O 0.3711 0.1172 0.9980
O 0.3778 0.5009 0.4950
O 0.4624 0.6951 0.8310
O 0.4627 0.8358 0.3301
O 0.4780 0.6862 0.1191
O 0.4827 0.8176 0.6196
O 0.4970 0.6278 0.7240
O 0.4980 0.8719 0.2218
O 0.5029 0.8604 0.9341
O 0.5048 0.6347 0.4327
O 0.5076 0.1252 0.7825
O 0.5087 0.3636 0.0032
O 0.5123 0.3519 0.2846
O 0.5154 0.1184 0.4950
O 0.5364 0.1507 0.1029
O 0.5413 0.2840 0.8834
O 0.5407 0.3013 0.5993
O 0.5467 0.1517 0.3863
O 0.6389 0.4841 0.2217
O 0.6447 0.8644 0.7238
O 0.6465 0.8573 0.4329
O 0.6552 0.5034 0.9335
O 0.7029 0.4568 0.6173
O 0.7025 0.8279 0.1187
O 0.7058 0.8355 0.8317
O 0.7089 0.4496 0.3300
O 0.7932 0.1710 0.6646
O 0.7980 0.0271 0.1647
O 0.8038 0.0224 0.4475
O 0.8163 0.1596 0.9540
O 0.8319 0.9604 0.0574
O 0.8325 0.9721 0.7695
O 0.8328 0.2023 0.5552
O 0.8353 0.1908 0.2672
O 0.8389 0.6820 0.6192
O 0.8456 0.4632 0.1184
O 0.8493 0.6957 0.3300
O 0.8548 0.4496 0.8311
O 0.8677 0.4934 0.4321
O 0.8679 0.6422 0.9344
O 0.8853 0.4811 0.7236
O 0.8847 0.6252 0.2217
O 0.9667 0.8318 0.5510
O 0.9763 0.2012 0.0567
O 0.9806 0.1903 0.7696
O 0.9816 0.8220 0.2674
! DFT formation energy = -2.12 eV/atom
! ρ = 3.061 g/cm³
! calculated volume = 13.95 Å³/atom
! space-group type = No. 1

---

Entry 4:
! NbGaSn2O6 | Materials Project | PBE | optimized geometry; values from VASP
&SYSTEM
  ibrav = 0, nat = 10, ntyp = 4
/
ATOMIC_SPECIES
Nb 92.91 Nb.upf
Ga 69.72 Ga.upf
Sn 118.71 Sn.upf
O 16.00 O.upf
CELL_PARAMETERS angstrom
0.0000 4.0039 4.0039
4.0039 0.0000 4.0039
4.0039 4.0039 0.0000
ATOMIC_POSITIONS crystal
Nb 0.0000 0.0000 0.0000
Ga 0.5000 0.5000 0.5000
Sn 0.2500 0.2500 0.2500
Sn 0.7500 0.7500 0.7500
O 0.2511 0.2511 0.7489
O 0.2511 0.7489 0.2511
O 0.2511 0.7489 0.7489
O 0.7489 0.2511 0.2511
O 0.7489 0.2511 0.7489
O 0.7489 0.7489 0.2511
! DFT formation energy = -2.10 eV/atom
! ρ = 6.416 g/cm³
! calculated volume = 12.84 Å³/atom
! space-group type = No. 225

---

Looking at E_tot for the records above, in order, we have -7.065 -7.166 -6.456 -6.773 eV per atom.